An optimized crystal structure of K2CuSi4O10. Source: the Materials Project, functional meta-GGA r2SCAN.

Properties
As for the energy relative to the elements: -2.64 eV per atom. The total energy is -650.33 eV/cell. As for the total moment: 1.0 μB/f.u.

Lattice parameters (Å, degrees): 11.051 8.245 11.298 90.00 111.02 90.00
Space group P2_1/m (No. 11)
Unique sites:
1 K 0.023 0.250 0.455 x2
2 K 0.057 0.750 0.944 x2
3 K 0.418 0.250 0.413 x2
4 K 0.463 0.750 0.971 x2
5 Cu 0.211 0.504 0.787 x4
6 Si 0.096 0.556 0.261 x4
7 Si 0.248 0.059 0.088 x4
8 Si 0.272 0.558 0.536 x4
9 Si 0.486 0.065 0.750 x4
10 O 0.031 0.543 0.752 x4
11 O 0.078 0.750 0.272 x2
12 O 0.141 0.523 0.140 x4
13 O 0.174 0.513 0.605 x4
14 O 0.207 0.250 0.064 x2
15 O 0.217 0.003 0.388 x4
16 O 0.251 0.534 0.967 x4
17 O 0.307 0.750 0.538 x2
18 O 0.388 0.056 0.206 x4
19 O 0.395 0.029 0.827 x4
20 O 0.414 0.033 0.597 x4
21 O 0.457 0.750 0.232 x2

An optimized crystal structure of KCu4S3. Source: the Materials Project, functional meta-GGA r2SCAN.

Properties
As for the energy relative to the elements: -0.51 eV per atom. The total energy is -77.62 eV/cell. As for the total moment: 0.0 μB/f.u.

Lattice parameters (Å, degrees): 3.843 3.843 9.353 90.00 90.00 90.00
Space group P4/mmm (No. 123)
Unique sites:
1 K 0.000 0.000 0.000 x1
2 Cu 0.000 0.500 0.340 x4
3 S 0.000 0.000 0.500 x1
4 S 0.500 0.500 0.206 x2

An optimized crystal structure of K3Cu8S6. Source: the Materials Project, functional meta-GGA r2SCAN.

Properties
As for the energy relative to the elements: -0.60 eV per atom. The total energy is -326.57 eV/cell. As for the total moment: 0.0 μB/f.u.

Lattice parameters (Å, degrees): 17.285 3.828 9.797 90.00 106.76 90.00
Space group C2/m (No. 12)
Unique sites:
1 K 0.000 0.000 0.000 x2
2 K 0.193 0.000 0.297 x4
3 Cu 0.014 0.000 0.639 x4
4 Cu 0.089 0.500 0.536 x4
5 Cu 0.093 0.500 0.797 x4
6 Cu 0.197 0.000 0.912 x4
7 S 0.044 0.500 0.297 x4
8 S 0.152 0.000 0.653 x4
9 S 0.161 0.500 0.024 x4

An optimized crystal structure of K3Ta2Cu3S8. Source: the Materials Project, functional meta-GGA r2SCAN.

Properties
As for the energy relative to the elements: -1.13 eV per atom. The total energy is -920.23 eV/cell. As for the total moment: 0.0 μB/f.u.

Lattice parameters (Å, degrees): 23.710 5.539 14.390 90.00 120.26 90.00
Space group C2/c (No. 15)
Unique sites:
1 K 0.000 0.000 0.000 x4
2 K 0.194 0.460 0.096 x8
3 Ta 0.125 0.283 0.779 x8
4 Cu 0.000 0.279 0.750 x4
5 Cu 0.122 0.218 0.281 x8
6 S 0.039 0.480 0.161 x8
7 S 0.090 0.048 0.872 x8
8 S 0.156 0.031 0.687 x8
9 S 0.209 0.470 0.389 x8

An optimized crystal structure of KCuSe. Source: the Materials Project, functional meta-GGA r2SCAN.

Properties
As for the energy relative to the elements: -0.81 eV per atom. The total energy is -67.19 eV/cell. As for the total moment: 0.0 μB/f.u.

Lattice parameters (Å, degrees): 4.1523 4.1523 9.6317 90.00 90.00 120.00
Space group P6_3/mmc (No. 194)
Unique sites:
1 K 0.0000 0.0000 0.0000 x2
2 Cu 0.3333 0.6667 0.2500 x2
3 Se 0.3333 0.6667 0.7500 x2

An optimized crystal structure of K3Ta2Cu3Se8. Source: the Materials Project, functional meta-GGA r2SCAN.

Properties
As for the energy relative to the elements: -0.99 eV per atom. The total energy is -1112.48 eV/cell. As for the total moment: 0.0 μB/f.u.

Lattice parameters (Å, degrees): 24.495 5.708 15.012 90.00 120.96 90.00
Space group C2/c (No. 15)
Unique sites:
1 K 0.000 0.000 0.000 x4
2 K 0.193 0.460 0.095 x8
3 Ta 0.124 0.282 0.778 x8
4 Cu 0.000 0.276 0.750 x4
5 Cu 0.123 0.218 0.279 x8
6 Se 0.035 0.477 0.156 x8
7 Se 0.091 0.041 0.875 x8
8 Se 0.157 0.032 0.684 x8
9 Se 0.212 0.471 0.393 x8

An optimized crystal structure of K2Cu5Te5. Source: the Materials Project, functional meta-GGA r2SCAN.

Properties
As for the energy relative to the elements: -0.43 eV per atom. The total energy is -794.27 eV/cell. As for the total moment: 0.0 μB/f.u.

Lattice parameters (Å, degrees): 4.108 16.067 18.739 90.00 90.00 90.00
Space group Cmcm (No. 63)
Unique sites:
1 K 0.000 0.017 0.118 x8
2 Cu 0.000 0.176 0.750 x4
3 Cu 0.000 0.225 0.542 x8
4 Cu 0.000 0.299 0.148 x8
5 Te 0.000 0.304 0.667 x8
6 Te 0.000 0.370 0.022 x8
7 Te 0.000 0.419 0.250 x4

An optimized crystal structure of KCuTe. Source: the Materials Project, functional meta-GGA r2SCAN.

Properties
As for the energy relative to the elements: -0.70 eV per atom. The total energy is -88.78 eV/cell. As for the total moment: 0.0 μB/f.u.

Lattice parameters (Å, degrees): 4.4392 4.4392 10.0590 90.00 90.00 120.00
Space group P6_3/mmc (No. 194)
Unique sites:
1 K 0.0000 0.0000 0.0000 x2
2 Cu 0.3333 0.6667 0.2500 x2
3 Te 0.3333 0.6667 0.7500 x2